! BaSeO4, relaxed, DFT r2SCAN; values from VASP
! uncorrected energy = -12.635 eV/atom
! formation energy from the elements = -1.85 eV/atom
! space group = Pnma (62)
&SYSTEM
  ibrav = 0, nat = 24, ntyp = 3
/
ATOMIC_SPECIES
Ba 137.33 Ba.upf
Se 78.96 Se.upf
O 16.00 O.upf
CELL_PARAMETERS angstrom
9.100 0.000 0.000
0.000 5.692 0.000
0.000 0.000 7.403
ATOMIC_POSITIONS angstrom
Ba 1.659 1.423 1.167
Ba 2.891 4.269 4.869
Ba 6.209 1.423 2.534
Ba 7.441 4.269 6.236
Se 0.582 1.423 5.075
Se 3.968 4.269 1.374
Se 5.131 1.423 6.029
Se 8.518 4.269 2.328
O 0.739 0.085 6.045
O 0.739 2.762 6.045
O 0.912 4.269 3.013
O 1.816 1.423 3.980
O 2.734 4.269 0.278
O 3.638 1.423 6.714
O 3.811 2.931 2.344
O 3.811 5.608 2.344
O 5.289 0.085 5.059
O 5.289 2.762 5.059
O 5.462 4.269 0.688
O 6.366 1.423 7.125
O 7.284 4.269 3.423
O 8.188 1.423 4.390
O 8.361 2.931 1.358
O 8.361 5.608 1.358



! InI2, relaxed, DFT r2SCAN; values from VASP
! uncorrected energy = -24.519 eV/atom
! formation energy from the elements = -0.62 eV/atom
! space group = Pnna (52)
&SYSTEM
  ibrav = 0, nat = 24, ntyp = 2
/
ATOMIC_SPECIES
In 114.82 In.upf
I 126.90 I.upf
CELL_PARAMETERS angstrom
8.502 0.000 0.000
0.000 11.113 0.000
0.000 0.000 11.351
ATOMIC_POSITIONS angstrom
In 1.287 2.778 2.838
In 2.125 0.000 7.699
In 2.125 5.556 9.327
In 2.964 8.335 2.838
In 5.538 2.778 8.513
In 6.376 0.000 3.652
In 6.376 5.556 2.023
In 7.215 8.335 8.513
I 0.076 6.069 3.589
I 0.076 10.600 2.086
I 1.335 7.714 10.820
I 1.335 8.955 6.206
I 2.916 2.158 6.206
I 2.916 3.399 10.820
I 4.174 0.513 2.086
I 4.174 5.044 3.589
I 4.327 6.069 7.761
I 4.327 10.600 9.265
I 5.586 7.714 0.530
I 5.586 8.955 5.145
I 7.167 2.158 5.145
I 7.167 3.399 0.530
I 8.425 0.513 9.265
I 8.425 5.044 7.761



! ThGaNi, relaxed, DFT r2SCAN; values from VASP
! uncorrected energy = -32.943 eV/atom
! formation energy from the elements = -0.64 eV/atom
! space group = P-62m (189)
&SYSTEM
  ibrav = 0, nat = 9, ntyp = 3
/
ATOMIC_SPECIES
Th 232.04 Th.upf
Ga 69.72 Ga.upf
Ni 58.69 Ni.upf
CELL_PARAMETERS angstrom
6.999 0.000 0.000
-3.499 6.061 0.000
0.000 0.000 4.030
ATOMIC_POSITIONS angstrom
Th -1.472 2.550 0.000
Th 2.944 0.000 0.000
Th 2.027 3.512 0.000
Ga -2.686 4.652 2.015
Ga 0.814 1.409 2.015
Ga 5.372 0.000 2.015
Ni 0.000 0.000 0.000
Ni 0.000 4.041 2.015
Ni 3.499 2.020 2.015



! Sr3Fe2O6, relaxed, DFT r2SCAN; values from VASP
! uncorrected energy = -12.486 eV/atom
! formation energy from the elements = -2.48 eV/atom
! space group = I4/mmm (139)
&SYSTEM
  ibrav = 0, nat = 11, ntyp = 3
/
ATOMIC_SPECIES
Sr 87.62 Sr.upf
Fe 55.84 Fe.upf
O 16.00 O.upf
CELL_PARAMETERS angstrom
-1.946 1.946 10.002
1.946 -1.946 10.002
1.946 1.946 -10.002
ATOMIC_POSITIONS angstrom
Sr 0.000 0.000 0.000
Sr 0.000 0.000 3.603
Sr 0.000 0.000 16.402
Fe 0.000 0.000 7.977
Fe 0.000 0.000 12.027
O 1.946 0.000 1.701
O 0.000 0.000 6.081
O 1.946 0.000 8.302
O 0.000 1.946 1.701
O 0.000 0.000 13.923
O 0.000 1.946 8.302



! KNpO3, relaxed, DFT r2SCAN; values from VASP
! uncorrected energy = -24.398 eV/atom
! formation energy from the elements = -3.01 eV/atom
! space group = P4/mmm (123)
&SYSTEM
  ibrav = 0, nat = 5, ntyp = 3
/
ATOMIC_SPECIES
K 39.10 K.upf
Np 237.00 Np.upf
O 16.00 O.upf
CELL_PARAMETERS angstrom
4.293 0.000 0.000
0.000 4.293 0.000
0.000 0.000 4.270
ATOMIC_POSITIONS angstrom
K 0.000 0.000 0.000
Np 2.147 2.147 2.135
O 0.000 2.147 2.135
O 2.147 0.000 2.135
O 2.147 2.147 0.000



! ZrIn3, relaxed, DFT r2SCAN; values from VASP
! uncorrected energy = -22.948 eV/atom
! formation energy from the elements = -0.33 eV/atom
! space group = I4/mmm (139)
&SYSTEM
  ibrav = 0, nat = 8, ntyp = 2
/
ATOMIC_SPECIES
Zr 91.22 Zr.upf
In 114.82 In.upf
CELL_PARAMETERS angstrom
-2.163 2.163 9.553
2.163 -2.163 9.553
2.163 2.163 -9.553
ATOMIC_POSITIONS angstrom
Zr 0.000 0.000 2.273
Zr 0.000 0.000 16.833
In 2.163 0.000 0.000
In 2.163 0.000 4.777
In 0.000 0.000 7.187
In 0.000 2.163 0.000
In 0.000 0.000 11.920
In 0.000 2.163 4.777



! MnCr2O4, relaxed, DFT r2SCAN; values from VASP
! uncorrected energy = -12.174 eV/atom
! formation energy from the elements = -2.36 eV/atom
! space group = Fd-3m (227)
&SYSTEM
  ibrav = 0, nat = 14, ntyp = 3
/
ATOMIC_SPECIES
Mn 54.94 Mn.upf
Cr 52.00 Cr.upf
O 16.00 O.upf
CELL_PARAMETERS angstrom
0.000 4.227 4.227
4.227 0.000 4.227
4.227 4.227 0.000
ATOMIC_POSITIONS angstrom
Mn 1.057 1.057 1.057
Mn 7.398 7.398 7.398
Cr 4.227 2.114 2.114
Cr 2.114 4.227 2.114
Cr 2.114 2.114 4.227
Cr 4.227 4.227 4.227
O 2.230 2.230 2.230
O 4.111 4.111 2.230
O 4.111 2.230 4.111
O 6.225 4.343 4.343
O 2.230 4.111 4.111
O 4.343 6.225 4.343
O 4.343 4.343 6.225
O 6.225 6.225 6.225



! Tb2Co7, relaxed, DFT r2SCAN; values from VASP
! uncorrected energy = -17.338 eV/atom
! formation energy from the elements = -0.11 eV/atom
! space group = C2/m (12)
&SYSTEM
  ibrav = 0, nat = 18, ntyp = 2
/
ATOMIC_SPECIES
Tb 158.93 Tb.upf
Co 58.93 Co.upf
CELL_PARAMETERS angstrom
4.248 -2.552 0.000
4.248 2.552 0.000
-2.935 0.000 11.902
ATOMIC_POSITIONS angstrom
Tb -0.017 0.000 1.857
Tb -0.033 0.000 5.333
Tb 5.595 0.000 6.569
Tb 5.579 0.000 10.045
Co 2.124 1.276 0.000
Co 2.116 1.258 3.877
Co -0.108 0.000 9.919
Co 2.791 0.000 1.893
Co 3.446 1.258 8.025
Co 1.382 0.000 8.033
Co 2.124 -1.276 0.000
Co 4.248 0.000 0.000
Co 2.781 0.000 5.951
Co 4.180 0.000 3.869
Co 2.116 -1.258 3.877
Co 2.771 0.000 10.009
Co 5.670 0.000 1.983
Co 3.446 -1.258 8.025



Number 1: M_tot 0.00 μB per formula unit. Number 2: M_tot 0.00 μB per formula unit. Number 3: M_tot 0.00 μB per formula unit. Number 4: M_tot 9.44 μB per formula unit. Number 5: M_tot 2.00 μB per formula unit. Number 6: M_tot 0.00 μB per formula unit. Number 7: M_tot 11.00 μB per formula unit. Number 8: M_tot 10.03 μB per formula unit.